# LiMnPH2O5 PBE with a Hubbard U relaxed
# Crystal system: orthorhombic
# Final energy, eV per atom: -6.479
# Density, g cm⁻³: 2.581
# ΔH_f (0 K), meV/atom: -2188
# Energy above the lowest structure with this stoichiometry, meV/atom: 18
data_LiMnPH2O5
_chemical_formula_sum 'Li8 Mn8 P8 H16 O40'
_symmetry_space_group_name_H-M 'P c a 21'
_symmetry_Int_Tables_number 29
_cell_length_a 17.1423
_cell_length_b 5.1401
_cell_length_c 10.2138
_cell_angle_alpha 90.00
_cell_angle_beta 90.00
_cell_angle_gamma 90.00
loop_
_symmetry_equiv_pos_as_xyz
'x,y,z'
'-x,-y,z+1/2'
'-x+1/2,y,z+1/2'
'x+1/2,-y,z'
loop_
_atom_site_label
_atom_site_type_symbol
_atom_site_fract_x
_atom_site_fract_y
_atom_site_fract_z
_atom_site_occupancy
Li1 Li 0.0542 0.0981 0.0000 1
Li2 Li 0.1934 0.4715 0.2295 1
Mn1 Mn 0.0002 0.4654 0.2629 1
Mn2 Mn 0.2489 0.0924 0.9712 1
P1 P 0.0925 0.9896 0.3060 1
P2 P 0.1576 0.5896 0.9252 1
H1 H 0.0566 0.3401 0.5294 1
H2 H 0.1232 0.3696 0.6339 1
H3 H 0.1242 0.9091 0.5836 1
H4 H 0.1887 0.8345 0.6911 1
O1 O 0.0467 0.0423 0.4347 1
O2 O 0.0475 0.1243 0.1915 1
O3 O 0.0758 0.4564 0.9132 1
O4 O 0.0760 0.4569 0.6003 1
O5 O 0.0997 0.6928 0.2782 1
O6 O 0.1469 0.8799 0.9652 1
O7 O 0.1734 0.9702 0.6240 1
O8 O 0.1757 0.1132 0.3146 1
O9 O 0.2030 0.5770 0.7942 1
O10 O 0.2040 0.4440 0.0347 1

# VOF PBE with a Hubbard U relaxed
# Crystal system: monoclinic
# Final energy, eV per atom: -7.172
# Density, g cm⁻³: 4.082
# ΔH_f (0 K), meV/atom: -2806
data_VOF
_chemical_formula_sum 'V6 O6 F6'
_symmetry_space_group_name_H-M 'P 1 m 1'
_symmetry_Int_Tables_number 6
_cell_length_a 4.7468
_cell_length_b 3.1096
_cell_length_c 14.2355
_cell_angle_alpha 90.00
_cell_angle_beta 93.30
_cell_angle_gamma 90.00
loop_
_symmetry_equiv_pos_as_xyz
'x,y,z'
'x,-y,z'
loop_
_atom_site_label
_atom_site_type_symbol
_atom_site_fract_x
_atom_site_fract_y
_atom_site_fract_z
_atom_site_occupancy
V1 V 0.0000 0.0000 0.0000 1
V2 V 0.0236 0.0000 0.6665 1
V3 V 0.4869 0.5000 0.1666 1
V4 V 0.5118 0.5000 0.8335 1
V5 V 0.5567 0.5000 0.5000 1
V6 V 0.9595 0.0000 0.3339 1
O1 O 0.2930 0.0000 0.1002 1
O2 O 0.3162 0.0000 0.7663 1
O3 O 0.6891 0.0000 0.2310 1
O4 O 0.7069 0.0000 0.8997 1
O5 O 0.7240 0.0000 0.5679 1
O6 O 0.8041 0.5000 0.3996 1
F1 F 0.1919 0.5000 0.2716 1
F2 F 0.2003 0.5000 0.9350 1
F3 F 0.2187 0.5000 0.5982 1
F4 F 0.3090 0.0000 0.4343 1
F5 F 0.7997 0.5000 0.0644 1
F6 F 0.8230 0.5000 0.7315 1

# Ba6Sr2CoCu7O24 PBE with a Hubbard U relaxed
# Crystal system: orthorhombic
# Final energy, eV per atom: -5.489
# Density, g cm⁻³: 6.163
# ΔH_f (0 K), meV/atom: -1706
data_Ba6Sr2CoCu7O24
_chemical_formula_sum 'Ba12 Sr4 Co2 Cu14 O48'
_symmetry_space_group_name_H-M 'A m m 2'
_symmetry_Int_Tables_number 38
_cell_length_a 7.9696
_cell_length_b 11.3082
_cell_length_c 11.2828
_cell_angle_alpha 90.00
_cell_angle_beta 90.00
_cell_angle_gamma 90.00
loop_
_symmetry_equiv_pos_as_xyz
'x,y,z'
'-x,-y,z'
'-x,y,z'
'x,-y,z'
'x,y+1/2,z+1/2'
'-x,-y+1/2,z+1/2'
'-x,y+1/2,z+1/2'
'x,-y+1/2,z+1/2'
loop_
_atom_site_label
_atom_site_type_symbol
_atom_site_fract_x
_atom_site_fract_y
_atom_site_fract_z
_atom_site_occupancy
Ba1 Ba 0.2503 0.0000 0.0000 1
Ba2 Ba 0.2502 0.2479 0.7518 1
Sr1 Sr 0.2486 0.0000 0.5051 1
Co1 Co 0.5000 0.0000 0.2555 1
Cu1 Cu 0.0000 0.0000 0.2525 1
Cu2 Cu 0.0000 0.0000 0.7515 1
Cu3 Cu 0.0000 0.2501 0.0019 1
Cu4 Cu 0.5000 0.0000 0.7518 1
Cu5 Cu 0.5000 0.2501 0.0025 1
O1 O 0.0000 0.1178 0.3822 1
O2 O 0.0000 0.1188 0.6209 1
O3 O 0.0000 0.1249 0.1290 1
O4 O 0.0000 0.1258 0.8759 1
O5 O 0.2492 0.0000 0.7444 1
O6 O 0.2511 0.2425 0.5021 1
O7 O 0.2566 0.0000 0.2573 1
O8 O 0.5000 0.1175 0.3778 1
O9 O 0.5000 0.1196 0.6199 1
O10 O 0.5000 0.1216 0.1322 1
O11 O 0.5000 0.1266 0.8771 1

# Li12MnV3P4C4O28 PBE with a Hubbard U relaxed
# Crystal system: monoclinic
# Final energy, eV per atom: -6.856
# Density, g cm⁻³: 2.692
# ΔH_f (0 K), meV/atom: -2424
data_Li12MnV3P4C4O28
_chemical_formula_sum 'Li12 Mn1 V3 P4 C4 O28'
_symmetry_space_group_name_H-M 'P 1 m 1'
_symmetry_Int_Tables_number 6
_cell_length_a 8.5034
_cell_length_b 6.6246
_cell_length_c 10.0142
_cell_angle_alpha 90.00
_cell_angle_beta 94.99
_cell_angle_gamma 90.00
loop_
_symmetry_equiv_pos_as_xyz
'x,y,z'
'x,-y,z'
loop_
_atom_site_label
_atom_site_type_symbol
_atom_site_fract_x
_atom_site_fract_y
_atom_site_fract_z
_atom_site_occupancy
Li1 Li 0.0000 0.0000 0.0000 1
Li2 Li 0.0004 0.0000 0.5002 1
Li3 Li 0.1824 0.2227 0.2593 1
Li4 Li 0.1830 0.2247 0.7586 1
Li5 Li 0.6272 0.2764 0.5070 1
Li6 Li 0.6294 0.2766 0.0062 1
Li7 Li 0.8083 0.5000 0.7641 1
Li8 Li 0.8125 0.5000 0.2639 1
Mn1 Mn 0.2449 0.5000 0.9928 1
V1 V 0.2352 0.5000 0.4857 1
V2 V 0.5754 0.0000 0.2790 1
V3 V 0.5752 0.0000 0.7785 1
P1 P 0.3163 0.0000 0.0222 1
P2 P 0.3164 0.0000 0.5226 1
P3 P 0.4931 0.5000 0.7415 1
P4 P 0.4966 0.5000 0.2444 1
C1 C 0.8698 0.0000 0.2322 1
C2 C 0.8698 0.0000 0.7320 1
C3 C 0.9382 0.5000 0.0315 1
C4 C 0.9407 0.5000 0.5329 1
O1 O 0.0160 0.0000 0.2050 1
O2 O 0.0160 0.0000 0.7049 1
O3 O 0.0512 0.5000 0.1285 1
O4 O 0.0542 0.5000 0.6295 1
O5 O 0.2138 0.1825 0.4696 1
O6 O 0.2142 0.1833 0.9698 1
O7 O 0.3256 0.5000 0.7912 1
O8 O 0.3273 0.5000 0.2909 1
O9 O 0.3357 0.0000 0.1790 1
O10 O 0.3358 0.0000 0.6792 1
O11 O 0.4751 0.5000 0.5846 1
O12 O 0.4806 0.5000 0.0877 1
O13 O 0.4832 0.0000 0.4721 1
O14 O 0.4831 0.0000 0.9719 1
O15 O 0.5954 0.3176 0.7947 1
O16 O 0.5974 0.3171 0.2977 1
O17 O 0.7567 0.0000 0.1354 1
O18 O 0.7568 0.0000 0.6352 1
O19 O 0.7923 0.5000 0.0609 1
O20 O 0.7949 0.5000 0.5600 1
O21 O 0.8303 0.0000 0.3549 1
O22 O 0.8301 0.0000 0.8547 1
O23 O 0.9745 0.5000 0.9086 1
O24 O 0.9806 0.5000 0.4101 1

# Mn12O7F17 PBE with a Hubbard U relaxed
# Crystal system: triclinic
# Final energy, eV per atom: -6.561
# Density, g cm⁻³: 4.129
# ΔH_f (0 K), meV/atom: -2549
# Energy above the lowest structure with this stoichiometry, meV/atom: 28
data_Mn12O7F17
_chemical_formula_sum 'Mn12 O7 F17'
_symmetry_space_group_name_H-M 'P 1'
_symmetry_Int_Tables_number 1
_cell_length_a 5.0579
_cell_length_b 5.6833
_cell_length_c 15.3598
_cell_angle_alpha 87.38
_cell_angle_beta 88.73
_cell_angle_gamma 86.25
loop_
_symmetry_equiv_pos_as_xyz
'x,y,z'
loop_
_atom_site_label
_atom_site_type_symbol
_atom_site_fract_x
_atom_site_fract_y
_atom_site_fract_z
_atom_site_occupancy
Mn1 Mn 0.0000 0.0000 0.0000 1
Mn2 Mn 0.0003 0.0242 0.6677 1
Mn3 Mn 0.0129 0.0477 0.3296 1
Mn4 Mn 0.0449 0.5703 0.1660 1
Mn5 Mn 0.0601 0.7275 0.5024 1
Mn6 Mn 0.5201 0.1283 0.8377 1
Mn7 Mn 0.5358 0.2140 0.1582 1
Mn8 Mn 0.5440 0.4984 0.6745 1
Mn9 Mn 0.5469 0.6702 0.3504 1
Mn10 Mn 0.5626 0.6791 0.0109 1
Mn11 Mn 0.5665 0.2324 0.4984 1
Mn12 Mn 0.9771 0.5951 0.8489 1
O1 O 0.3527 0.5194 0.4502 1
O2 O 0.3805 0.4980 0.0997 1
O3 O 0.7394 0.8866 0.9217 1
O4 O 0.7510 0.2359 0.7280 1
O5 O 0.8390 0.9981 0.5568 1
O6 O 0.8500 0.7753 0.0794 1
O7 O 0.8529 0.7979 0.4013 1
F1 F 0.1681 0.2116 0.9173 1
F2 F 0.2064 0.2563 0.2399 1
F3 F 0.2216 0.7538 0.2678 1
F4 F 0.2260 0.9575 0.7701 1
F5 F 0.2443 0.7137 0.9383 1
F6 F 0.2616 0.7413 0.6164 1
F7 F 0.2915 0.4523 0.7733 1
F8 F 0.3267 0.0071 0.4203 1
F9 F 0.3276 0.2367 0.6043 1
F10 F 0.3332 0.9954 0.0722 1
F11 F 0.6800 0.4082 0.9143 1
F12 F 0.6951 0.9798 0.2481 1
F13 F 0.7188 0.4818 0.2426 1
F14 F 0.7773 0.7354 0.7359 1
F15 F 0.7843 0.4954 0.5698 1
F16 F 0.8141 0.3006 0.4009 1
F17 F 0.8669 0.2677 0.0880 1

# LiCoP4O12 PBE with a Hubbard U relaxed
# Crystal system: monoclinic
# Final energy, eV per atom: -6.815
# Density, g cm⁻³: 2.644
# ΔH_f (0 K), meV/atom: -2361
# Energy above the lowest structure with this stoichiometry, meV/atom: 69
data_LiCoP4O12
_chemical_formula_sum 'Li2 Co2 P8 O24'
_symmetry_space_group_name_H-M 'P 1 21 1'
_symmetry_Int_Tables_number 4
_cell_length_a 7.2533
_cell_length_b 9.1614
_cell_length_c 7.6533
_cell_angle_alpha 90.00
_cell_angle_beta 109.46
_cell_angle_gamma 90.00
loop_
_symmetry_equiv_pos_as_xyz
'x,y,z'
'-x,y+1/2,-z'
loop_
_atom_site_label
_atom_site_type_symbol
_atom_site_fract_x
_atom_site_fract_y
_atom_site_fract_z
_atom_site_occupancy
Li1 Li 0.1213 0.0000 0.4125 1
Co1 Co 0.2560 0.3328 0.7577 1
P1 P 0.0558 0.9135 0.0220 1
P2 P 0.0981 0.5448 0.3593 1
P3 P 0.4105 0.1220 0.1312 1
P4 P 0.4523 0.7465 0.4782 1
O1 O 0.0591 0.1574 0.6713 1
O2 O 0.0604 0.4279 0.8426 1
O3 O 0.0920 0.4332 0.5036 1
O4 O 0.0960 0.4629 0.1754 1
O5 O 0.1545 0.7751 0.0128 1
O6 O 0.1965 0.0535 0.0764 1
O7 O 0.3146 0.6070 0.4186 1
O8 O 0.3428 0.8830 0.4770 1
O9 O 0.4050 0.2407 0.9942 1
O10 O 0.4094 0.2031 0.3178 1
O11 O 0.4094 0.2392 0.6330 1
O12 O 0.4308 0.5109 0.8273 1

# MgCoP2O7 PBE with a Hubbard U relaxed
# Crystal system: monoclinic
# Final energy, eV per atom: -6.956
# Density, g cm⁻³: 3.423
# ΔH_f (0 K), meV/atom: -2617
# Energy above the lowest structure with this stoichiometry, meV/atom: 0
data_MgCoP2O7
_chemical_formula_sum 'Mg4 Co4 P8 O28'
_symmetry_space_group_name_H-M 'P 1 21/c 1'
_symmetry_Int_Tables_number 14
_cell_length_a 7.0407
_cell_length_b 8.4077
_cell_length_c 9.1702
_cell_angle_alpha 90.00
_cell_angle_beta 113.16
_cell_angle_gamma 90.00
loop_
_symmetry_equiv_pos_as_xyz
'x,y,z'
'-x,-y,-z'
'-x,y+1/2,-z+1/2'
'x,-y+1/2,z+1/2'
loop_
_atom_site_label
_atom_site_type_symbol
_atom_site_fract_x
_atom_site_fract_y
_atom_site_fract_z
_atom_site_occupancy
Mg1 Mg 0.1950 0.0599 0.3187 1
Co1 Co 0.2677 0.0726 0.8920 1
P1 P 0.0319 0.7266 0.9683 1
P2 P 0.4401 0.7337 0.2590 1
O1 O 0.0120 0.0916 0.6531 1
O2 O 0.0498 0.6108 0.3966 1
O3 O 0.1227 0.2332 0.4510 1
O4 O 0.2496 0.6751 0.1011 1
O5 O 0.3798 0.2410 0.2963 1
O6 O 0.3865 0.6098 0.8134 1
O7 O 0.4746 0.5968 0.3789 1

# Ca2VP3H4O13 PBE with a Hubbard U relaxed
# Crystal system: monoclinic
# Final energy, eV per atom: -6.772
# Density, g cm⁻³: 2.828
# ΔH_f (0 K), meV/atom: -2572
data_Ca2VP3H4O13
_chemical_formula_sum 'Ca8 V4 P12 H16 O52'
_symmetry_space_group_name_H-M 'C 1 2/c 1'
_symmetry_Int_Tables_number 15
_cell_length_a 7.6009
_cell_length_b 15.8426
_cell_length_c 9.2912
_cell_angle_alpha 90.00
_cell_angle_beta 113.76
_cell_angle_gamma 90.00
loop_
_symmetry_equiv_pos_as_xyz
'x,y,z'
'-x,-y,-z'
'-x,y,-z+1/2'
'x,-y,z+1/2'
'x+1/2,y+1/2,z'
'-x+1/2,-y+1/2,-z'
'-x+1/2,y+1/2,-z+1/2'
'x+1/2,-y+1/2,z+1/2'
loop_
_atom_site_label
_atom_site_type_symbol
_atom_site_fract_x
_atom_site_fract_y
_atom_site_fract_z
_atom_site_occupancy
Ca1 Ca 0.2305 0.0083 0.4380 1
V1 V 0.2500 0.2500 0.5000 1
P1 P 0.0000 0.3974 0.2500 1
P2 P 0.1665 0.1506 0.1523 1
H1 H 0.0804 0.1332 0.7139 1
H2 H 0.1010 0.3094 0.9281 1
O1 O 0.0000 0.0974 0.7500 1
O2 O 0.0350 0.2220 0.0544 1
O3 O 0.0368 0.4528 0.1295 1
O4 O 0.0817 0.0610 0.1215 1
O5 O 0.1655 0.3595 0.9088 1
O6 O 0.1866 0.3454 0.3431 1
O7 O 0.2477 0.3332 0.6685 1

# LaFeTeO6 PBE with a Hubbard U relaxed
# Crystal system: monoclinic
# Final energy, eV per atom: -6.600
# Density, g cm⁻³: 5.588
# ΔH_f (0 K), meV/atom: -2171
# Energy above the lowest structure with this stoichiometry, meV/atom: 183
data_LaFeTeO6
_chemical_formula_sum 'La4 Fe4 Te4 O24'
_symmetry_space_group_name_H-M 'C 1 2/c 1'
_symmetry_Int_Tables_number 15
_cell_length_a 5.1712
_cell_length_b 9.1971
_cell_length_c 10.4569
_cell_angle_alpha 90.00
_cell_angle_beta 90.79
_cell_angle_gamma 90.00
loop_
_symmetry_equiv_pos_as_xyz
'x,y,z'
'-x,-y,-z'
'-x,y,-z+1/2'
'x,-y,z+1/2'
'x+1/2,y+1/2,z'
'-x+1/2,-y+1/2,-z'
'-x+1/2,y+1/2,-z+1/2'
'x+1/2,-y+1/2,z+1/2'
loop_
_atom_site_label
_atom_site_type_symbol
_atom_site_fract_x
_atom_site_fract_y
_atom_site_fract_z
_atom_site_occupancy
La1 La 0.0000 0.0000 0.0000 1
Fe1 Fe 0.0000 0.3301 0.2500 1
Te1 Te 0.0000 0.3361 0.7500 1
O1 O 0.1316 0.4912 0.6440 1
O2 O 0.1857 0.1888 0.6475 1
O3 O 0.1933 0.1841 0.1411 1

Number 1: volume 11.25 Å³/atom. Number 2: volume 11.65 Å³/atom. Number 3: volume 12.71 Å³/atom. Number 4: volume 10.81 Å³/atom. Number 5: volume 12.22 Å³/atom. Number 6: volume 13.32 Å³/atom. Number 7: volume 11.34 Å³/atom. Number 8: volume 11.13 Å³/atom. Number 9: volume 13.81 Å³/atom.